DFT (PBE) results for crystalline TbEu2GeO6 at its relaxed geometry.

Cell lengths 5.770, 5.770, 5.770 Å; angles 60.00, 60.00, 60.00 degrees
Sites, in units of the cell vectors:
Tb: 0.000 0.000 0.000
Eu: 0.250 0.250 0.250
Eu: 0.750 0.750 0.750
Ge: 0.500 0.500 0.500
O: 0.268 0.268 0.732
O: 0.268 0.732 0.268
O: 0.268 0.732 0.732
O: 0.732 0.268 0.268
O: 0.732 0.268 0.732
O: 0.732 0.732 0.268

DFT (PBE) results for crystalline Na2LiN at its relaxed geometry.

Cell lengths 4.487, 4.487, 3.871 Å; angles 90.00, 90.00, 120.00 degrees
Sites, in units of the cell vectors:
Na: 0.333 0.667 0.000
Na: 0.667 0.333 0.000
Li: 0.000 0.000 0.500
N: 0.000 0.000 0.000

DFT (PBE) results for crystalline Nd2FeCo3Si4 at its relaxed geometry.

Cell lengths 3.964, 3.964, 9.977 Å; angles 90.00, 90.00, 90.00 degrees
Sites, in units of the cell vectors:
Nd: 0.000 0.500 0.248
Nd: 0.500 0.000 0.752
Fe: 0.500 0.500 0.000
Co: 0.000 0.000 0.000
Co: 0.000 0.000 0.500
Co: 0.500 0.500 0.500
Si: 0.000 0.500 0.617
Si: 0.000 0.500 0.887
Si: 0.500 0.000 0.113
Si: 0.500 0.000 0.383

DFT (PBE) results for crystalline Eu3Al2P4 at its relaxed geometry.

Cell lengths 8.233, 8.233, 6.578 Å; angles 90.26, 90.26, 75.74 degrees
Sites, in units of the cell vectors:
Eu: 0.099 0.901 0.750
Eu: 0.250 0.508 0.461
Eu: 0.492 0.750 0.039
Eu: 0.508 0.250 0.961
Eu: 0.750 0.492 0.539
Eu: 0.901 0.099 0.250
Al: 0.081 0.328 0.919
Al: 0.328 0.081 0.419
Al: 0.672 0.919 0.581
Al: 0.919 0.672 0.081
P: 0.076 0.241 0.572
P: 0.210 0.560 0.974
P: 0.241 0.076 0.072
P: 0.440 0.790 0.526
P: 0.560 0.210 0.474
P: 0.759 0.924 0.928
P: 0.790 0.440 0.026
P: 0.924 0.759 0.428

DFT (PBE) results for crystalline K3Tb at its relaxed geometry.

Cell lengths 8.638, 8.638, 7.110 Å; angles 90.00, 90.00, 120.00 degrees
Sites, in units of the cell vectors:
K: 0.171 0.343 0.250
K: 0.171 0.829 0.250
K: 0.343 0.171 0.750
K: 0.657 0.829 0.250
K: 0.829 0.171 0.750
K: 0.829 0.657 0.750
Tb: 0.333 0.667 0.750
Tb: 0.667 0.333 0.250

DFT (PBE) results for crystalline TlGaBr4 at its relaxed geometry.

Cell lengths 12.745, 11.617, 13.107 Å; angles 90.00, 109.18, 90.00 degrees
Sites, in units of the cell vectors:
Tl: 0.202 0.139 0.121
Tl: 0.202 0.361 0.621
Tl: 0.296 0.660 0.981
Tl: 0.296 0.840 0.481
Tl: 0.704 0.160 0.519
Tl: 0.704 0.340 0.019
Tl: 0.798 0.639 0.379
Tl: 0.798 0.861 0.879
Ga: 0.018 0.138 0.789
Ga: 0.018 0.362 0.289
Ga: 0.498 0.579 0.779
Ga: 0.498 0.921 0.279
Ga: 0.502 0.079 0.721
Ga: 0.502 0.421 0.221
Ga: 0.982 0.638 0.711
Ga: 0.982 0.862 0.211
Br: 0.000 0.126 0.604
Br: 0.000 0.374 0.104
Br: 0.000 0.626 0.896
Br: 0.000 0.874 0.396
Br: 0.082 0.533 0.387
Br: 0.082 0.967 0.887
Br: 0.147 0.215 0.371
Br: 0.147 0.285 0.871
Br: 0.162 0.674 0.701
Br: 0.162 0.826 0.201
Br: 0.311 0.046 0.683
Br: 0.311 0.454 0.183
Br: 0.402 0.576 0.591
Br: 0.402 0.924 0.091
Br: 0.419 0.069 0.358
Br: 0.419 0.431 0.858
Br: 0.476 0.744 0.358
Br: 0.476 0.756 0.858
Br: 0.524 0.244 0.142
Br: 0.524 0.256 0.642
Br: 0.581 0.569 0.142
Br: 0.581 0.931 0.642
Br: 0.598 0.076 0.909
Br: 0.598 0.424 0.409
Br: 0.689 0.546 0.817
Br: 0.689 0.954 0.317
Br: 0.838 0.174 0.799
Br: 0.838 0.326 0.299
Br: 0.853 0.715 0.129
Br: 0.853 0.785 0.629
Br: 0.918 0.033 0.113
Br: 0.918 0.467 0.613

We obtain E_form values of -3027 -30 -707 -1023 579 -1268 meV/atom for the records listed above, in that order.